VASP calculation (GGA+U) on a relaxed LiCrP2O7 crystal.

Summary:
Space-group type   Cc, No. 9
Energy above the most stable polymorph in this dataset   0.0550 eV per atom
DFT total energy   -79.03 eV/f.u.

Cell: 5.2789 5.2789 9.0163 Å, 97.67 97.67 104.12°
Last column: nearest neighbours and their distance in Å.
Fractional positions:
Li  0.1970  0.8030  0.5000  5 O 2.12-2.22
Li  0.8030  0.1970  0.0000  5 O 2.12-2.22
Cr  0.1701  0.8169  0.0023  6 O 1.97-2.17
Cr  0.8169  0.1701  0.5023  6 O 1.97-2.17
P  0.2659  0.2829  0.7997  4 O 1.53-1.58
P  0.2829  0.2659  0.2997  4 O 1.53-1.58
P  0.7108  0.7173  0.2055  4 O 1.53-1.58
P  0.7173  0.7108  0.7055  4 O 1.53-1.58
O  0.1097  0.4372  0.8912  1 P 1.53
O  0.1128  0.4008  0.3926  1 P 1.54
O  0.1148  0.1205  0.6446  1 P 1.54
O  0.1205  0.1148  0.1446  1 P 1.54
O  0.4008  0.1128  0.8926  1 P 1.54
O  0.4372  0.1097  0.3912  1 P 1.53
O  0.4815  0.5114  0.7544  2 P 1.58
O  0.5114  0.4815  0.2544  2 P 1.58
O  0.5420  0.8583  0.1128  1 P 1.53
O  0.5953  0.8905  0.6130  1 P 1.54
O  0.8583  0.5420  0.6128  1 P 1.53
O  0.8702  0.8784  0.3590  1 P 1.54
O  0.8784  0.8702  0.8590  1 P 1.54
O  0.8905  0.5953  0.1130  1 P 1.54